No. 1
## Li6Fe3Sb3O16 (PBE with a Hubbard U)

Data for a relaxed Li6Fe3Sb3O16 crystal.

Summary:
**Symmetry**: Cm (8)
**ΔE to the lowest computed polymorph**: 0 meV/atom

a = 6.0832 Å, b = 6.0832 Å, c = 10.0401 Å
α = 89.57°, β = 89.57°, γ = 60.39°
Fractional coordinates of all 28 atoms:
Li 0.3351 0.3351 0.4988
Li 0.3322 0.3322 0.1248
Li 0.0090 0.0090 0.0009
Li 0.0071 0.0071 0.4954
Li 0.6580 0.6580 0.9998
Li 0.6733 0.6733 0.6108
Fe 0.1676 0.1676 0.7821
Fe 0.8304 0.3350 0.2837
Fe 0.3350 0.8304 0.2837
Sb 0.6617 0.1681 0.7846
Sb 0.1681 0.6617 0.7846
Sb 0.8294 0.8294 0.2854
O 0.6962 0.1573 0.3905
O 0.4883 0.4883 0.6731
O 0.3348 0.3348 0.8998
O 0.9970 0.9970 0.6768
O 0.9913 0.9913 0.1780
O 0.1573 0.6962 0.3905
O 0.4916 0.0311 0.6751
O 0.0311 0.4916 0.6751
O 0.8446 0.8446 0.8957
O 0.1509 0.1509 0.3782
O 0.9666 0.5090 0.1776
O 0.5090 0.9666 0.1776
O 0.6727 0.6727 0.4017
O 0.8386 0.3060 0.8906
O 0.5181 0.5181 0.1868
O 0.3060 0.8386 0.8906

***

No. 2
## KCoO2 (PBE with a Hubbard U)

Data for a relaxed KCoO2 crystal.

a = 6.4986 Å, b = 6.4890 Å, c = 6.9327 Å
α = 73.24°, β = 76.35°, γ = 104.63°
Fractional coordinates of all 16 atoms:
K 0.7292 0.6535 0.7347
K 0.2291 0.6535 0.7348
K 0.2709 0.3465 0.2652
K 0.7708 0.3465 0.2653
Co 0.9195 0.8902 0.2113
Co 0.0804 0.1098 0.7888
Co 0.4195 0.8902 0.2112
Co 0.5805 0.1098 0.7887
O 0.0456 0.2065 0.0256
O 0.5456 0.2065 0.0256
O 0.9544 0.7935 0.9744
O 0.4544 0.7935 0.9743
O 0.8840 0.1815 0.6470
O 0.3840 0.1815 0.6470
O 0.1160 0.8185 0.3530
O 0.6160 0.8185 0.3530

***

No. 3
## MgV3CrO10 (PBE with a Hubbard U)

Data for a relaxed MgV3CrO10 crystal.

Summary:
**Symmetry**: P1 (1)
**ΔE to the lowest computed polymorph**: 1 meV/atom

a = 6.6233 Å, b = 6.6525 Å, c = 4.9077 Å
α = 87.08°, β = 94.21°, γ = 89.82°
Fractional coordinates of all 15 atoms:
Mg 0.9854 0.4994 0.9909
V 0.2285 0.2648 0.5822
V 0.7376 0.7297 0.3987
V 0.7337 0.2445 0.4932
Cr 0.2339 0.7518 0.4894
O 0.0162 0.7330 0.2609
O 0.1812 0.3135 0.2478
O 0.2189 0.5438 0.7248
O 0.2351 0.9769 0.6442
O 0.4497 0.7287 0.3184
O 0.5199 0.2692 0.6664
O 0.7341 0.0212 0.3338
O 0.7480 0.4511 0.2511
O 0.7861 0.6813 0.7331
O 0.9517 0.2611 0.7260

***

No. 4
## BaCoSO (PBE with a Hubbard U)

Data for a relaxed BaCoSO crystal.

Summary:
**Symmetry**: Cmcm (63)

a = 4.0354 Å, b = 6.1795 Å, c = 6.7648 Å
α = 90.00°, β = 107.35°, γ = 90.00°
Fractional coordinates of all 8 atoms:
Ba 0.6136 0.2500 0.2272
Ba 0.3864 0.7500 0.7728
Co 0.9056 0.2500 0.8113
Co 0.0944 0.7500 0.1887
S 0.3096 0.2500 0.6191
S 0.6904 0.7500 0.3809
O 0.0000 0.0000 0.0000
O 0.0000 0.5000 0.0000

***

No. 5
## Rb2VF6 (PBE with a Hubbard U)

Data for a relaxed Rb2VF6 crystal.

Summary:
**Symmetry**: Fm-3m (225)

a = 6.1367 Å, b = 6.1367 Å, c = 6.1367 Å
α = 60.00°, β = 60.00°, γ = 60.00°
Fractional coordinates of all 9 atoms:
Rb 0.2500 0.2500 0.2500
Rb 0.7500 0.7500 0.7500
V 0.0000 0.0000 0.0000
F 0.7832 0.2168 0.2168
F 0.2168 0.7832 0.7832
F 0.2168 0.7832 0.2168
F 0.7832 0.2168 0.7832
F 0.2168 0.2168 0.7832
F 0.7832 0.7832 0.2168

***

No. 6
## Li4Mn5CuP6O24 (PBE with a Hubbard U)

Data for a relaxed Li4Mn5CuP6O24 crystal.

Summary:
**Symmetry**: P1 (1)

a = 8.5183 Å, b = 8.9489 Å, c = 9.0657 Å
α = 58.72°, β = 59.38°, γ = 58.53°
Fractional coordinates of all 40 atoms:
Li 0.2545 0.8496 0.6417
Li 0.7456 0.1593 0.3301
Li 0.7175 0.7895 0.1405
Li 0.7159 0.3267 0.8100
Mn 0.0018 0.9953 0.0109
Mn 0.0618 0.6517 0.6405
Mn 0.5034 0.4918 0.4991
Mn 0.4420 0.8512 0.8497
Mn 0.9622 0.3499 0.3450
Cu 0.5214 0.1496 0.1806
P 0.2593 0.2539 0.5587
P 0.2414 0.9451 0.2483
P 0.2588 0.5498 0.9461
P 0.7584 0.4626 0.0305
P 0.7703 0.0321 0.7480
P 0.7237 0.7582 0.4539
O 0.0549 0.1020 0.3035
O 0.0680 0.5304 0.0942
O 0.0773 0.3035 0.5250
O 0.2486 0.0853 0.7471
O 0.4529 0.2056 0.4056
O 0.2589 0.4133 0.5858
O 0.2285 0.9137 0.1035
O 0.2608 0.7550 0.4197
O 0.5730 0.6056 0.9821
O 0.2907 0.5736 0.7506
O 0.7945 0.2683 0.0380
O 0.6068 0.9648 0.8129
O 0.4328 0.9728 0.1871
O 0.2407 0.7487 0.9188
O 0.7246 0.4391 0.2270
O 0.4394 0.3820 0.9920
O 0.7283 0.2350 0.6045
O 0.7865 0.0424 0.9067
O 0.7234 0.6093 0.4106
O 0.5263 0.8183 0.5948
O 0.7477 0.9267 0.2629
O 0.8932 0.6959 0.5112
O 0.9341 0.5216 0.8873
O 0.9699 0.8938 0.6722

***

| no. | E (eV per atom) | energy of formation from the pure elements (meV per atom) |
| --- | --- | --- |
| 1 | -5.855 | -1902.8 |
| 2 | -5.220 | -1444.7 |
| 3 | -7.265 | -2330.5 |
| 4 | -5.615 | -1794.2 |
| 5 | -5.081 | -3074.5 |
| 6 | -7.038 | -2439.4 |